Entry 1:
Entry from the Materials Project database: a geometry-optimized Te4As2S5O2F12 structure (PBE).

CIF file:
```
data_Te4As2S5O2F12
_cell_length_a 10.924
_cell_length_b 15.629
_cell_length_c 13.259
_cell_angle_alpha 90.00
_cell_angle_beta 107.94
_cell_angle_gamma 90.00
_space_group_name_H-M_alt 'P 1 21/c 1'
_space_group_IT_number 14
loop_
_space_group_symop_operation_xyz
'x,y,z'
'-x,-y,-z'
'-x,y+1/2,-z+1/2'
'x,-y+1/2,z+1/2'
loop_
_atom_site_label
_atom_site_fract_x
_atom_site_fract_y
_atom_site_fract_z
Te1 0.079 0.030 0.358
Te2 0.163 0.127 0.118
Te3 0.244 0.592 0.757
Te4 0.408 0.125 0.364
As1 0.185 0.698 0.053
As2 0.252 0.113 0.807
S1 0.003 0.617 0.298
S2 0.176 0.524 0.586
S3 0.262 0.110 0.466
S4 0.440 0.668 0.401
S5 0.446 0.526 0.850
O1 0.460 0.740 0.906
O2 0.484 0.119 0.153
F1 0.049 0.628 0.011
F2 0.082 0.718 0.569
F3 0.084 0.105 0.793
F4 0.158 0.729 0.919
F5 0.210 0.667 0.187
F6 0.220 0.208 0.728
F7 0.226 0.050 0.691
F8 0.274 0.177 0.923
F9 0.283 0.020 0.887
F10 0.285 0.613 0.036
F11 0.320 0.732 0.595
F12 0.418 0.124 0.822
```

---

Entry 2:
Entry from the Materials Project database: a geometry-optimized Te3As2SO2F12 structure (PBE).

CIF file:
```
data_Te3As2SO2F12
_cell_length_a 10.066
_cell_length_b 10.528
_cell_length_c 16.263
_cell_angle_alpha 75.13
_cell_angle_beta 77.41
_cell_angle_gamma 63.43
_space_group_name_H-M_alt 'P -1'
_space_group_IT_number 2
loop_
_space_group_symop_operation_xyz
'x,y,z'
'-x,-y,-z'
loop_
_atom_site_label
_atom_site_fract_x
_atom_site_fract_y
_atom_site_fract_z
Te1 0.072 0.282 0.359
Te2 0.117 0.483 0.182
Te3 0.216 0.045 0.281
Te4 0.264 0.247 0.103
Te5 0.376 0.135 0.352
Te6 0.420 0.335 0.179
As1 0.205 0.600 0.884
As2 0.223 0.573 0.399
As3 0.248 0.905 0.594
As4 0.276 0.864 0.085
S1 0.197 0.064 0.828
S2 0.368 0.387 0.656
O1 0.133 0.218 0.825
O2 0.205 0.447 0.670
O3 0.360 0.991 0.815
O4 0.445 0.231 0.668
F1 0.040 0.678 0.955
F2 0.073 0.679 0.466
F3 0.082 0.976 0.665
F4 0.092 0.679 0.798
F5 0.095 0.604 0.327
F6 0.127 0.955 0.161
F7 0.144 0.870 0.027
F8 0.147 0.987 0.505
F9 0.168 0.444 0.901
F10 0.194 0.416 0.454
F11 0.218 0.748 0.606
F12 0.241 0.755 0.866
F13 0.252 0.727 0.340
F14 0.263 0.037 0.024
F15 0.280 0.061 0.585
F16 0.290 0.695 0.146
F17 0.313 0.522 0.971
F18 0.352 0.537 0.468
F19 0.354 0.823 0.684
F20 0.366 0.523 0.812
F21 0.371 0.464 0.329
F22 0.403 0.867 0.145
F23 0.417 0.834 0.526
F24 0.427 0.780 0.010
```

---

Entry 3:
Entry from the Materials Project database: a geometry-optimized Te4As2SO2F12 structure (PBE).

Polymorph energy (0 for the lowest one): 0 meV/atom

CIF file:
```
data_Te4As2SO2F12
_cell_length_a 9.188
_cell_length_b 10.112
_cell_length_c 18.828
_cell_angle_alpha 90.00
_cell_angle_beta 90.00
_cell_angle_gamma 90.00
_space_group_name_H-M_alt 'P n m a'
_space_group_IT_number 62
loop_
_space_group_symop_operation_xyz
'x,y,z'
'-x,-y,-z'
'-x+1/2,-y,z+1/2'
'x+1/2,y,-z+1/2'
'x+1/2,-y+1/2,-z+1/2'
'-x+1/2,y+1/2,z+1/2'
'-x,y+1/2,-z'
'x,-y+1/2,z'
loop_
_atom_site_label
_atom_site_fract_x
_atom_site_fract_y
_atom_site_fract_z
Te1 0.179 0.116 0.211
Te2 0.186 0.117 0.067
As1 0.108 0.250 0.855
As2 0.176 0.250 0.419
S1 0.070 0.250 0.637
O1 0.152 0.127 0.640
F1 0.006 0.126 0.900
F2 0.019 0.750 0.216
F3 0.040 0.250 0.486
F4 0.078 0.127 0.371
F5 0.190 0.750 0.850
F6 0.212 0.126 0.813
F7 0.226 0.626 0.964
F8 0.235 0.250 0.928
```

---

Entry 4:
Entry from the Materials Project database: a geometry-optimized Te4As2SO2F12 structure (PBE).

Polymorph energy (0 for the lowest one): 4 meV/atom

CIF file:
```
data_Te4As2SO2F12
_cell_length_a 9.913
_cell_length_b 18.902
_cell_length_c 9.049
_cell_angle_alpha 90.00
_cell_angle_beta 96.76
_cell_angle_gamma 90.00
_space_group_name_H-M_alt 'P 1 21/c 1'
_space_group_IT_number 14
loop_
_space_group_symop_operation_xyz
'x,y,z'
'-x,-y,-z'
'-x,y+1/2,-z+1/2'
'x,-y+1/2,z+1/2'
loop_
_atom_site_label
_atom_site_fract_x
_atom_site_fract_y
_atom_site_fract_z
Te1 0.107 0.072 0.157
Te2 0.111 0.214 0.125
Te3 0.381 0.070 0.216
Te4 0.386 0.213 0.191
As1 0.228 0.076 0.680
As2 0.284 0.646 0.619
S1 0.231 0.631 0.061
O1 0.102 0.653 0.104
O2 0.348 0.633 0.174
F1 0.068 0.111 0.713
F2 0.149 0.023 0.533
F3 0.159 0.633 0.462
F4 0.166 0.699 0.700
F5 0.210 0.007 0.809
F6 0.220 0.569 0.708
F7 0.245 0.147 0.551
F8 0.308 0.131 0.824
F9 0.348 0.720 0.530
F10 0.387 0.043 0.644
F11 0.397 0.589 0.539
F12 0.404 0.659 0.778
```

---

no.,calculated formation energy (meV per atom)
1,-1595
2,-2027
3,-1933
4,-1929